# KCo2P2, relaxed, DFT meta-GGA r2SCAN
data_KCo2P2
_symmetry_space_group_name_H-M 'I 4/m m m'
_symmetry_Int_Tables_number 139
_symmetry_space_group_name_Hall '-I 4 2'
_cell_length_a 3.638
_cell_length_b 3.638
_cell_length_c 13.221
_cell_angle_alpha 90.00
_cell_angle_beta 90.00
_cell_angle_gamma 90.00
loop_
_atom_site_label
_atom_site_type_symbol
_atom_site_fract_x
_atom_site_fract_y
_atom_site_fract_z
K1 K 0.000 0.000 0.000
Co1 Co 0.000 0.500 0.250
P1 P 0.000 0.000 0.340
# Spin magnetization in μB per cell: 0.0
# Energy of formation in eV/atom: -0.583
# E in eV per atom: -10.68